Record 1
DFT (PBE) results for crystalline KLi3TiO4 at its relaxed geometry.

## Properties
spin magnetization = 0.00 μB per cell
space-group type = P-1

Structure (POSCAR):
```
KLi3TiO4
1.0
5.9922 0.0000 0.0000
1.3739 7.5252 0.0000
2.3844 0.7383 9.8371
K Li Ti O
4 12 4 16
direct
0.0027 0.3815 0.3855
0.0466 0.1412 0.1275
0.9534 0.8588 0.8725
0.9973 0.6185 0.6145
0.1856 0.4466 0.8977
0.1911 0.9412 0.3977
0.1926 0.1752 0.6466
0.4347 0.0467 0.8776
0.4668 0.5735 0.3718
0.4794 0.3218 0.1118
0.5206 0.6782 0.8882
0.5332 0.4265 0.6282
0.5653 0.9533 0.1224
0.8074 0.8248 0.3534
0.8089 0.0588 0.6023
0.8144 0.5534 0.1023
0.1670 0.7046 0.1489
0.4436 0.7907 0.6341
0.5564 0.2093 0.3659
0.8330 0.2954 0.8511
0.1392 0.2041 0.8485
0.1799 0.7084 0.3278
0.1836 0.9366 0.5949
0.1929 0.4818 0.0890
0.3477 0.6083 0.7579
0.3613 0.8415 0.0310
0.3763 0.3292 0.5110
0.3904 0.1030 0.2765
0.6096 0.8970 0.7235
0.6237 0.6708 0.4890
0.6387 0.1585 0.9690
0.6523 0.3917 0.2421
0.8071 0.5182 0.9110
0.8164 0.0634 0.4051
0.8201 0.2916 0.6722
0.8608 0.7959 0.1515
```


Record 2
DFT (PBE) results for crystalline HoInIr at its relaxed geometry.

## Properties
space-group type = P-62m

Structure (POSCAR):
```
HoInIr
1.0
7.4979 0.0000 0.0000
-3.7490 6.4934 0.0000
0.0000 0.0000 3.9619
Ho In Ir
3 3 3
direct
0.0000 0.4052 0.0000
0.4052 0.0000 0.0000
0.5948 0.5948 0.0000
0.0000 0.7425 0.5000
0.2575 0.2575 0.5000
0.7425 0.0000 0.5000
0.0000 0.0000 0.0000
0.3333 0.6667 0.5000
0.6667 0.3333 0.5000
```


Sequential calculated formation energy output: -2.653; -0.710 eV/atom